Density functional theory data (PBE+U) for a relaxed structure of Li2MnVP4O14.

Results
ΔE to the lowest computed polymorph = 0 meV per atom
E_form = -2665 meV per atom
Uncorrected energy = -7.21 eV per atom

Cell: 4.8548 7.0817 8.3375 Å, 88.24 89.49 71.44°
Last column: nearest neighbours and their distance in Å.
Space group P1 (No. 1)
Symmetry-distinct sites (fractional):
Li 0.0000 0.0000 0.0000  4 O 1.98-2.04
Li 0.3482 0.6592 0.5032  4 O 1.99-2.11
Mn 0.9665 0.0582 0.6428  4 O 1.94-2.03
V 0.3869 0.6047 0.1434  6 O 1.98-2.08
P 0.3956 0.2389 0.4298  4 O 1.52-1.62
P 0.5783 0.8072 0.8195  4 O 1.53-1.61
P 0.7760 0.8493 0.3248  4 O 1.52-1.63
P 0.9597 0.4176 0.9330  4 O 1.52-1.64
O 0.0407 0.2182 0.8519  1 P 1.52
O 0.1197 0.1866 0.4717  1 P 1.53
O 0.2184 0.4866 0.9708  1 P 1.52
O 0.3174 0.4412 0.3430  1 P 1.52
O 0.3640 0.8522 0.6775  1 P 1.54
O 0.4240 0.8249 0.9817  1 P 1.53
O 0.5644 0.7281 0.3188  1 P 1.54
O 0.5807 0.0820 0.3011  2 P 1.62-1.63
O 0.5814 0.2339 0.5794  1 P 1.54
O 0.7674 0.5776 0.7972  2 P 1.61-1.64
O 0.7702 0.4195 0.0821  1 P 1.54
O 0.7860 0.9328 0.8156  1 P 1.54
O 0.9315 0.8235 0.4854  1 P 1.52
O 0.9845 0.8166 0.1809  1 P 1.54

***

Density functional theory data (PBE+U) for a relaxed structure of Li6MnV3P6O24.

Results
ΔE to the lowest computed polymorph = 37 meV per atom
E_form = -2649 meV per atom
Uncorrected energy = -7.05 eV per atom

Cell: 8.7885 8.8038 14.5353 Å, 73.13 74.17 60.72°
Last column: nearest neighbours and their distance in Å.
Space group P-1 (No. 2)
Symmetry-distinct sites (fractional):
Li 0.0000 0.0000 0.0000  6 O 2.23-2.27
Li 0.1441 0.5137 0.6116  3 O 2.01-2.25
Li 0.2363 0.6049 0.1372  1 O 2.00
Li 0.2517 0.2486 0.2513  6 O 2.17-2.29
Li 0.2661 0.8955 0.3627  1 O 1.98
Li 0.3550 0.9864 0.8873  2 O 2.01-2.23
Li 0.5000 0.5000 0.5000  6 O 2.23-2.27
Mn 0.1794 0.1728 0.4654  5 O 1.91-2.12
V 0.0757 0.0696 0.7866  6 O 1.97-2.07
V 0.3177 0.3269 0.0372  6 O 1.93-2.10
V 0.4219 0.4327 0.7130  6 O 1.95-2.07
P 0.0816 0.3813 0.8683  4 O 1.52-1.57
P 0.1307 0.8335 0.6177  4 O 1.51-1.59
P 0.1775 0.5712 0.3759  4 O 1.54-1.57
P 0.3263 0.9236 0.1245  4 O 1.54-1.56
P 0.3690 0.6679 0.8808  4 O 1.52-1.57
P 0.4154 0.1205 0.6319  4 O 1.53-1.58
O 0.0496 0.1770 0.3681  1 P 1.59
O 0.0615 0.6391 0.4694  1 P 1.54
O 0.0716 0.2014 0.8851  1 P 1.57
O 0.1040 0.6947 0.2818  1 P 1.55
O 0.1093 0.4679 0.1371  1 P 1.55
O 0.1125 0.9109 0.7028  1 P 1.51
O 0.1423 0.9402 0.1215  1 P 1.56
O 0.1596 0.3659 0.9538  1 P 1.52
O 0.1686 0.9449 0.5187  1 P 1.54
O 0.1888 0.3899 0.3716  1 P 1.57
O 0.1938 0.4161 0.7701  1 P 1.54
O 0.2186 0.8591 0.8852  1 P 1.56
O 0.2792 0.6428 0.6135  1 P 1.55
O 0.2994 0.0886 0.7296  1 P 1.55
O 0.3101 0.1067 0.1278  1 P 1.56
O 0.3340 0.5559 0.9802  1 P 1.54
O 0.3392 0.1343 0.5454  1 P 1.53
O 0.3615 0.5560 0.3776  1 P 1.56
O 0.3839 0.5900 0.7966  1 P 1.52
O 0.3960 0.0287 0.3590  1 P 1.54
O 0.3985 0.8020 0.2187  1 P 1.54
O 0.4239 0.3015 0.6147  1 P 1.58
O 0.4457 0.8530 0.0315  1 P 1.55
O 0.4527 0.3200 0.1349  1 P 1.57

***

Density functional theory data (PBE+U) for a relaxed structure of Li4MnVP3O12.

Results
ΔE to the lowest computed polymorph = 0 meV per atom
E_form = -2676 meV per atom
Uncorrected energy = -6.96 eV per atom

Cell: 8.4154 8.4368 9.3009 Å, 116.73 90.37 119.40°
Last column: nearest neighbours and their distance in Å.
Space group P-1 (No. 2)
Symmetry-distinct sites (fractional):
Li 0.0565 0.3642 0.0974  4 O 1.95-2.06
Li 0.2017 0.6687 0.4094  3 O 1.92-2.16
Li 0.2645 0.1965 0.8646  3 O 1.90-1.98
Li 0.3414 0.0750 0.1471  3 O 1.90-1.96
Mn 0.1501 0.2872 0.4382  6 O 2.08-2.30
V 0.3517 0.6913 0.0349  6 O 1.99-2.13
P 0.0506 0.7850 0.2459  4 O 1.52-1.59
P 0.2546 0.8086 0.7619  4 O 1.52-1.59
P 0.4530 0.5066 0.2464  4 O 1.50-1.59
O 0.0327 0.7958 0.4121  1 P 1.52
O 0.1337 0.8961 0.7553  1 P 1.54
O 0.1478 0.9992 0.2542  1 P 1.54
O 0.1505 0.3622 0.8931  1 P 1.59
O 0.1678 0.6802 0.1830  1 P 1.58
O 0.2082 0.6190 0.5914  1 P 1.52
O 0.2097 0.7423 0.8992  1 P 1.59
O 0.2490 0.4259 0.2677  1 P 1.56
O 0.3978 0.3830 0.5929  1 P 1.50
O 0.4457 0.3062 0.1008  1 P 1.59
O 0.4723 0.9867 0.8231  1 P 1.57
O 0.4968 0.6596 0.1788  1 P 1.57

***

Density functional theory data (PBE+U) for a relaxed structure of Li6MnV3P6O24.

Results
ΔE to the lowest computed polymorph = 24 meV per atom
E_form = -2662 meV per atom
Uncorrected energy = -7.06 eV per atom

Cell: 8.7023 8.7661 15.0524 Å, 106.16 90.03 118.83°
Last column: nearest neighbours and their distance in Å.
Space group P1 (No. 1)
Symmetry-distinct sites (fractional):
Li 0.0000 0.0000 0.0000  4 O 2.13-2.38
Li 0.0038 0.5249 0.6352  3 O 1.98-2.04
Li 0.0321 0.5641 0.3551  3 O 1.99-2.07
Li 0.0859 0.0297 0.5538  3 O 1.98-2.06
Li 0.1310 0.4994 0.8672  3 O 2.11-2.20
Li 0.1813 0.0654 0.2046  3 O 2.00-2.05
Li 0.4865 0.9898 0.4962  4 O 2.10-2.28
Li 0.5071 0.5353 0.1330  3 O 2.00-2.07
Li 0.5289 0.5647 0.8555  3 O 1.99-2.05
Li 0.5863 0.0314 0.0531  3 O 2.00-2.04
Li 0.6179 0.4888 0.3629  4 O 2.11-2.30
Li 0.6809 0.0641 0.7059  3 O 1.99-2.06
Mn 0.1064 0.3922 0.1118  5 O 1.95-2.06
Mn 0.3527 0.8913 0.8644  5 O 1.94-2.07
V 0.0357 0.1045 0.7621  6 O 1.98-2.06
V 0.2932 0.6034 0.5061  6 O 1.99-2.08
V 0.5386 0.1045 0.2605  6 O 1.98-2.07
V 0.6058 0.3862 0.6115  6 O 1.98-2.14
V 0.7923 0.6054 0.0047  6 O 1.98-2.06
V 0.8533 0.8866 0.3647  6 O 1.98-2.14
P 0.2250 0.7949 0.0577  4 O 1.52-1.58
P 0.2937 0.4865 0.7071  4 O 1.55-1.56
P 0.3074 0.2051 0.4219  4 O 1.54-1.56
P 0.3318 0.2934 0.9510  4 O 1.52-1.57
P 0.3422 0.9911 0.6635  4 O 1.54-1.57
P 0.4190 0.7062 0.3097  4 O 1.54-1.56
P 0.7239 0.7875 0.5612  4 O 1.52-1.56
P 0.7996 0.4925 0.2074  4 O 1.54-1.57
P 0.8068 0.2080 0.9231  4 O 1.54-1.56
P 0.8371 0.2880 0.4489  4 O 1.52-1.56
P 0.8407 0.9874 0.1612  4 O 1.55-1.56
P 0.9188 0.7055 0.8095  4 O 1.54-1.56
O 0.0239 0.1365 0.1485  1 P 1.55
O 0.0275 0.4485 0.4561  1 P 1.55
O 0.0563 0.8059 0.0378  1 P 1.55
O 0.0869 0.6940 0.8321  1 P 1.56
O 0.1128 0.3226 0.7120  1 P 1.56
O 0.1167 0.0615 0.4255  1 P 1.54
O 0.1822 0.6058 0.0582  1 P 1.52
O 0.2018 0.0511 0.6795  1 P 1.54
O 0.2172 0.3048 0.8767  1 P 1.55
O 0.2489 0.5513 0.6300  1 P 1.55
O 0.2645 0.8287 0.5702  1 P 1.55
O 0.2781 0.3341 0.0510  1 P 1.57
O 0.2919 0.6619 0.3832  1 P 1.56
O 0.3098 0.1037 0.9290  1 P 1.52
O 0.3278 0.5631 0.2118  1 P 1.54
O 0.3347 0.9551 0.1490  1 P 1.55
O 0.3420 0.4023 0.4451  1 P 1.54
O 0.3475 0.8340 0.9803  1 P 1.58
O 0.3527 0.1595 0.3211  1 P 1.56
O 0.3663 0.6365 0.8051  1 P 1.56
O 0.3933 0.9411 0.7459  1 P 1.55
O 0.4272 0.1944 0.4943  1 P 1.56
O 0.4381 0.4317 0.6885  1 P 1.55
O 0.4718 0.9033 0.3148  1 P 1.54
O 0.5233 0.4524 0.9591  1 P 1.55
O 0.5253 0.1444 0.6507  1 P 1.57
O 0.5554 0.7990 0.5399  1 P 1.56
O 0.5861 0.6932 0.3324  1 P 1.56
O 0.6152 0.0650 0.9268  1 P 1.54
O 0.6211 0.3301 0.2153  1 P 1.55
O 0.6756 0.5962 0.5622  1 P 1.52
O 0.7031 0.0525 0.1772  1 P 1.55
O 0.7208 0.2992 0.3752  1 P 1.56
O 0.7527 0.5522 0.1290  1 P 1.54
O 0.7571 0.8231 0.0682  1 P 1.56
O 0.7840 0.3258 0.5482  1 P 1.56
O 0.7882 0.6563 0.8812  1 P 1.56
O 0.8168 0.0976 0.4232  1 P 1.52
O 0.8276 0.5622 0.7119  1 P 1.54
O 0.8287 0.9463 0.6535  1 P 1.55
O 0.8418 0.4051 0.9462  1 P 1.54
O 0.8471 0.8284 0.4856  1 P 1.56
O 0.8508 0.1598 0.8224  1 P 1.56
O 0.8723 0.6460 0.3053  1 P 1.57
O 0.8848 0.9322 0.2427  1 P 1.55
O 0.9254 0.1971 0.9963  1 P 1.56
O 0.9482 0.4422 0.1915  1 P 1.55
O 0.9710 0.9029 0.8160  1 P 1.54

***

Density functional theory data (PBE+U) for a relaxed structure of Li3MnVP3O12.

Results
ΔE to the lowest computed polymorph = 58 meV per atom
E_form = -2598 meV per atom
Uncorrected energy = -7.00 eV per atom

Cell: 11.9168 11.9168 11.6182 Å, 90.00 90.00 90.00°
Last column: nearest neighbours and their distance in Å.
Space group I4_1/a (No. 88, origin choice 2)
Symmetry-distinct sites (fractional):
Li 0.0000 0.2500 0.3753  8 O 2.27-2.52
Li 0.1277 0.4967 0.2459  8 O 2.29-2.55
Mn 0.0000 0.0000 0.0000  6 O 1.96-2.13
V 0.0000 0.0000 0.5000  6 O 2.00-2.04
P 0.0000 0.2500 0.1250  4 O 1.56
P 0.0000 0.2500 0.6250  4 O 1.56
P 0.1253 0.4973 0.7532  4 O 1.54-1.58
O 0.0403 0.4496 0.8453  1 P 1.58
O 0.0436 0.0461 0.3384  1 P 1.56
O 0.0469 0.1588 0.0415  1 P 1.56
O 0.0473 0.3403 0.5409  1 P 1.56
O 0.1550 0.0457 0.5478  1 P 1.56
O 0.1660 0.4577 0.0536  1 P 1.54

***

Density functional theory data (PBE+U) for a relaxed structure of Li6MnV3P6O24.

Results
ΔE to the lowest computed polymorph = 5 meV per atom
E_form = -2682 meV per atom
Uncorrected energy = -7.08 eV per atom

Cell: 8.5497 8.7465 14.7372 Å, 90.00 124.45 90.00°
Last column: nearest neighbours and their distance in Å.
Space group Pc (No. 7)
Symmetry-distinct sites (fractional):
Li 0.0000 0.0293 0.0000  4 O 2.02-2.10
Li 0.2774 0.2621 0.0240  4 O 1.99-2.04
Li 0.3853 0.3360 0.4864  4 O 1.95-2.05
Li 0.6077 0.1643 0.8693  4 O 1.94-2.09
Li 0.7152 0.2357 0.3314  4 O 1.99-2.01
Li 0.9937 0.4700 0.3558  4 O 2.01-2.11
Mn 0.6440 0.2209 0.0722  6 O 1.97-2.18
V 0.1329 0.2856 0.5692  6 O 1.93-2.13
V 0.3444 0.2771 0.2824  6 O 2.00-2.15
V 0.8619 0.2145 0.7873  6 O 1.94-2.12
P 0.0289 0.1407 0.3263  4 O 1.52-1.58
P 0.2609 0.3677 0.8284  4 O 1.53-1.57
P 0.4472 0.0018 0.6694  4 O 1.54-1.56
P 0.5478 0.4997 0.1879  4 O 1.54-1.57
P 0.7303 0.1320 0.5264  4 O 1.52-1.58
P 0.9656 0.3604 0.0313  4 O 1.52-1.58
O 0.0134 0.0201 0.8657  1 P 1.56
O 0.1180 0.2557 0.4264  1 P 1.58
O 0.1254 0.3292 0.8656  1 P 1.57
O 0.1526 0.1417 0.2821  1 P 1.52
O 0.1633 0.3303 0.7064  1 P 1.53
O 0.1712 0.2996 0.1162  1 P 1.57
O 0.2462 0.0744 0.6132  1 P 1.56
O 0.2889 0.4552 0.3465  1 P 1.57
O 0.3906 0.3808 0.6221  1 P 1.54
O 0.4474 0.2786 0.8990  1 P 1.53
O 0.4495 0.0820 0.0776  1 P 1.55
O 0.4792 0.1102 0.2602  1 P 1.55
O 0.5150 0.3879 0.0950  1 P 1.57
O 0.5405 0.4142 0.2769  1 P 1.54
O 0.5427 0.2205 0.4532  1 P 1.54
O 0.6029 0.1225 0.7338  1 P 1.54
O 0.7065 0.0470 0.0104  1 P 1.58
O 0.7471 0.4268 0.7443  1 P 1.55
O 0.8252 0.1711 0.6475  1 P 1.52
O 0.8250 0.2020 0.2439  1 P 1.55
O 0.8425 0.3619 0.0757  1 P 1.52
O 0.8664 0.1705 0.4897  1 P 1.57
O 0.8814 0.2437 0.9325  1 P 1.58
O 0.9842 0.4807 0.4909  1 P 1.56